Density functional theory data (PBE) for a relaxed Cs2NaGaF6 crystal.

Values from the calculation:
Formation energy ... -3.06 eV/atom
Corrected total energy (MP2020 scheme) ... -4.823 eV per atom
SG ... R-3m (166)
Total magnetization ... 0.00 μB per formula unit

Cell and atoms, written as POSCAR:
```
Cs2NaGaF6
1.0
-8.1212 6.4628 3.3721
-9.8177 4.1746 -2.2979
-10.5034 0.6007 2.9002
Cs Na Ga F
4 2 2 12
direct
0.7185 0.7185 0.7185
0.2815 0.2815 0.2815
0.8720 0.8720 0.8720
0.1280 0.1280 0.1280
0.4030 0.4030 0.4030
0.5970 0.5970 0.5970
0.0000 0.0000 0.0000
0.5000 0.5000 0.5000
0.1815 0.1815 0.7449
0.7449 0.1815 0.1815
0.1815 0.7449 0.1815
0.8185 0.2551 0.8185
0.8185 0.8185 0.2551
0.2551 0.8185 0.8185
0.3966 0.3966 0.8199
0.8199 0.3966 0.3966
0.1801 0.6034 0.6034
0.6034 0.6034 0.1801
0.6034 0.1801 0.6034
0.3966 0.8199 0.3966
```